[1]
Below is an optimized crystal structure of MgZn2Mo3O8, with properties calculated at the GGA+U level.

Unit cell a=5.523 b=6.475 c=6.731 alpha=118.79 beta=119.09 gamma=92.59
Atoms (fractional coordinates):
Zn (0.662, 0.709, 0.315)
Zn (0.338, 0.291, 0.685)
O (0.489, 0.637, 0.772)
O (0.018, 0.865, 0.755)
O (0.547, 0.091, 0.769)
O (0.982, 0.135, 0.245)
O (0.511, 0.363, 0.228)
O (0.968, 0.602, 0.232)
O (0.032, 0.398, 0.768)
O (0.453, 0.909, 0.231)
Mo (0.016, 0.253, 0.993)
Mo (0.984, 0.747, 0.007)
Mo (0.500, 0.000, 0.000)
Mg (0.000, 0.500, 0.500)

Results
SG = P-1
DFT formation energy = -1851 meV per atom
Total moment = 8.0 μB per formula unit
Energy above the lowest structure with this stoichiometry = 81.7 meV per atom

---

[2]
Below is an optimized crystal structure of MgCo6O9F3, with properties calculated at the GGA+U level.

Unit cell a=4.916 b=4.910 c=8.587 alpha=90.19 beta=90.03 gamma=101.49
Atoms (fractional coordinates):
O (0.830, 0.171, 0.169)
O (0.318, 0.299, 0.333)
O (0.321, 0.293, 0.003)
O (0.700, 0.690, 0.330)
O (0.673, 0.720, 0.666)
O (0.156, 0.804, 0.506)
O (0.702, 0.677, 0.003)
O (0.155, 0.800, 0.821)
O (0.296, 0.329, 0.668)
Mg (0.949, 0.487, 0.671)
Co (0.432, 0.584, 0.489)
Co (0.583, 0.415, 0.170)
Co (0.013, 0.995, 0.667)
Co (0.455, 0.548, 0.845)
Co (0.006, 0.995, 0.331)
Co (0.018, 0.984, 0.000)
F (0.834, 0.185, 0.824)
F (0.830, 0.194, 0.516)
F (0.192, 0.808, 0.161)

Results
SG = P1
DFT formation energy = -1459 meV per atom
Total moment = 15.0 μB per formula unit
Energy above the lowest structure with this stoichiometry = 61.4 meV per atom

---

[3]
Below is an optimized crystal structure of Li2CoP4O12, with properties calculated at the GGA+U level.

Unit cell a=4.966 b=7.166 c=7.605 alpha=115.31 beta=82.30 gamma=109.79
Atoms (fractional coordinates):
Li (0.977, 0.245, 0.446)
Li (0.023, 0.755, 0.554)
O (0.717, 0.982, 0.209)
O (0.770, 0.462, 0.369)
O (0.230, 0.538, 0.631)
O (0.221, 0.870, 0.357)
O (0.293, 0.693, 0.995)
O (0.735, 0.756, 0.788)
O (0.265, 0.244, 0.212)
O (0.527, 0.618, 0.221)
O (0.473, 0.382, 0.779)
O (0.779, 0.130, 0.643)
O (0.283, 0.018, 0.791)
O (0.707, 0.307, 0.005)
P (0.561, 0.193, 0.788)
P (0.439, 0.807, 0.212)
P (0.562, 0.403, 0.217)
P (0.438, 0.597, 0.783)
Co (0.000, 0.000, 0.000)

Results
SG = P-1
DFT formation energy = -2510 meV per atom
Total moment = 3.0 μB per formula unit
Energy above the lowest structure with this stoichiometry = 33.3 meV per atom

---

[4]
Below is an optimized crystal structure of Cr2AsC10ClO10, with properties calculated at the GGA+U level.

Unit cell a=11.611 b=7.102 c=21.672 alpha=72.10 beta=90.00 gamma=90.00
Atoms (fractional coordinates):
O (0.470, 0.276, 0.681)
O (0.980, 0.690, 0.329)
O (0.812, 0.994, 0.198)
O (0.530, 0.724, 0.319)
O (0.241, 0.933, 0.446)
O (0.980, 0.273, 0.511)
O (0.528, 0.746, 0.625)
O (0.009, 0.773, 0.972)
O (0.688, 0.994, 0.698)
O (0.972, 0.746, 0.125)
O (0.730, 0.537, 0.753)
O (0.259, 0.933, 0.946)
O (0.020, 0.310, 0.671)
O (0.520, 0.273, 0.011)
O (0.520, 0.690, 0.829)
O (0.259, 0.569, 0.586)
O (0.241, 0.569, 0.086)
O (0.312, 0.006, 0.302)
O (0.188, 0.006, 0.802)
O (0.028, 0.254, 0.875)
O (0.735, 0.435, 0.612)
O (0.741, 0.067, 0.054)
O (0.020, 0.727, 0.489)
O (0.480, 0.727, 0.989)
O (0.741, 0.431, 0.414)
O (0.991, 0.227, 0.028)
O (0.509, 0.227, 0.528)
O (0.765, 0.435, 0.112)
O (0.230, 0.463, 0.747)
O (0.770, 0.537, 0.253)
O (0.491, 0.773, 0.472)
O (0.480, 0.310, 0.171)
O (0.270, 0.463, 0.247)
O (0.030, 0.276, 0.181)
O (0.970, 0.724, 0.819)
O (0.265, 0.565, 0.388)
O (0.235, 0.565, 0.888)
O (0.472, 0.254, 0.375)
O (0.759, 0.067, 0.554)
O (0.759, 0.431, 0.914)
Cr (0.355, 0.866, 0.714)
Cr (0.645, 0.134, 0.286)
Cr (0.756, 0.757, 0.480)
Cr (0.855, 0.134, 0.786)
Cr (0.145, 0.866, 0.214)
Cr (0.256, 0.243, 0.020)
Cr (0.744, 0.757, 0.980)
Cr (0.244, 0.243, 0.520)
C (0.542, 0.242, 0.215)
C (0.037, 0.789, 0.158)
C (0.463, 0.789, 0.658)
C (0.223, 0.615, 0.234)
C (0.258, 0.046, 0.975)
C (0.242, 0.046, 0.475)
C (0.758, 0.556, 0.062)
C (0.249, 0.446, 0.062)
C (0.242, 0.444, 0.938)
C (0.928, 0.880, 0.806)
C (0.742, 0.954, 0.025)
C (0.091, 0.228, 0.026)
C (0.251, 0.446, 0.562)
C (0.750, 0.050, 0.230)
C (0.537, 0.211, 0.342)
C (0.409, 0.228, 0.526)
C (0.758, 0.954, 0.525)
C (0.580, 0.740, 0.985)
C (0.042, 0.758, 0.285)
C (0.250, 0.950, 0.770)
C (0.742, 0.556, 0.562)
C (0.750, 0.050, 0.730)
C (0.258, 0.444, 0.438)
C (0.250, 0.950, 0.270)
C (0.277, 0.615, 0.734)
C (0.723, 0.385, 0.266)
C (0.080, 0.260, 0.515)
C (0.909, 0.772, 0.974)
C (0.963, 0.211, 0.842)
C (0.777, 0.385, 0.766)
C (0.072, 0.120, 0.194)
C (0.920, 0.740, 0.485)
C (0.572, 0.880, 0.306)
C (0.420, 0.260, 0.015)
C (0.751, 0.554, 0.938)
C (0.591, 0.772, 0.474)
C (0.458, 0.758, 0.785)
C (0.749, 0.554, 0.438)
C (0.428, 0.120, 0.694)
C (0.958, 0.242, 0.715)
As (0.234, 0.999, 0.623)
As (0.266, 0.999, 0.123)
As (0.734, 0.001, 0.877)
As (0.766, 0.001, 0.377)
Cl (0.440, 0.859, 0.142)
Cl (0.060, 0.859, 0.642)
Cl (0.940, 0.141, 0.358)
Cl (0.560, 0.141, 0.858)

Results
SG = P2_1/c
DFT formation energy = -772 meV per atom
Total moment = 0.0 μB per formula unit